# 1
{
  "formula": "TeO2",
  "functional": "PBE-GGA",
  "state": "relaxed",
  "rho_g_cm3": 5.54,
  "delta_e_f_kj_per_mol_atoms": -142,
  "total_energy_ev_per_cell": -96.46,
  "cell": [[5.874, 0.000, 0.000], [-2.684, 6.567, 0.000], [-0.407, -2.447, 7.435]],
  "species": ["Te", "Te", "Te", "Te", "Te", "Te", "O", "O", "O", "O", "O", "O", "O", "O", "O", "O", "O", "O"],
  "fractional_positions": [[0.041, 0.530, 0.249], [0.612, 0.870, 0.588], [0.250, 0.182, 0.972], [0.750, 0.818, 0.028], [0.959, 0.470, 0.751], [0.388, 0.130, 0.412], [0.978, 0.148, 0.115], [0.466, 0.183, 0.165], [0.022, 0.852, 0.885], [0.915, 0.176, 0.725], [0.716, 0.417, 0.551], [0.284, 0.583, 0.449], [0.741, 0.490, 0.928], [0.606, 0.984, 0.363], [0.259, 0.510, 0.072], [0.534, 0.817, 0.835], [0.394, 0.016, 0.637], [0.085, 0.824, 0.275]]
}

---

# 2
{
  "formula": "K2SnHOF6",
  "functional": "PBE-GGA",
  "state": "relaxed",
  "rho_g_cm3": 2.79,
  "delta_e_f_kj_per_mol_atoms": -253,
  "total_energy_ev_per_cell": -205.95,
  "cell": [[0.000, 6.975, 8.984], [6.223, 0.000, 8.984], [6.223, 6.975, 0.000]],
  "species": ["K", "K", "K", "K", "K", "K", "K", "K", "F", "F", "F", "F", "F", "F", "F", "F", "F", "F", "F", "F", "F", "F", "F", "F", "F", "F", "F", "F", "F", "F", "F", "F", "Sn", "Sn", "Sn", "Sn", "O", "O", "O", "O", "H", "H", "H", "H"],
  "fractional_positions": [[0.093, 0.907, 0.907], [0.751, 0.000, 0.747], [0.655, 0.345, 0.345], [0.503, 0.748, 0.499], [0.250, 0.499, 0.748], [0.343, 0.157, 0.157], [0.905, 0.595, 0.595], [0.502, 0.747, 0.000], [0.062, 0.446, 0.070], [0.632, 0.888, 0.645], [0.164, 0.860, 0.610], [0.362, 0.618, 0.415], [0.184, 0.297, 0.678], [0.673, 0.544, 0.752], [0.835, 0.645, 0.888], [0.304, 0.922, 0.282], [0.640, 0.884, 0.086], [0.390, 0.086, 0.884], [0.366, 0.610, 0.860], [0.180, 0.828, 0.188], [0.841, 0.678, 0.297], [0.706, 0.577, 0.219], [0.492, 0.282, 0.922], [0.328, 0.946, 0.758], [0.968, 0.758, 0.946], [0.605, 0.415, 0.618], [0.498, 0.219, 0.577], [0.031, 0.752, 0.544], [0.572, 0.409, 0.066], [0.953, 0.066, 0.409], [0.422, 0.070, 0.446], [0.804, 0.188, 0.828], [0.160, 0.844, 0.405], [0.845, 0.660, 0.090], [0.406, 0.090, 0.660], [0.590, 0.405, 0.844], [0.168, 0.414, 0.336], [0.081, 0.336, 0.414], [0.914, 0.169, 0.082], [0.836, 0.082, 0.169], [0.752, 0.146, 0.113], [0.137, 0.261, 0.498], [0.989, 0.113, 0.146], [0.104, 0.498, 0.261]]
}